# YTa7O19 | the Materials Project database | PBE | relaxed
# Formation energy from the elements ... -3.417 eV/atom
# Crystal system ... hexagonal
# Raw total energy ... -9.7288 eV per atom
data_YTa7O19
_cell_length_a 6.266
_cell_length_b 6.266
_cell_length_c 20.114
_cell_angle_alpha 90.00
_cell_angle_beta 90.00
_cell_angle_gamma 120.00
_symmetry_space_group_name_H-M 'P 1'
_symmetry_Int_Tables_number 1
loop_
_symmetry_equiv_pos_as_xyz
'x,y,z'
loop_
_atom_site_label
_atom_site_type_symbol
_atom_site_fract_x
_atom_site_fract_y
_atom_site_fract_z
Y1 Y 0.667 0.333 0.500
Y2 Y 0.667 0.333 0.000
Ta1 Ta 0.694 0.027 0.655
Ta2 Ta 0.694 0.027 0.845
Ta3 Ta 0.973 0.306 0.155
Ta4 Ta 0.973 0.306 0.345
Ta5 Ta 0.694 0.667 0.345
Ta6 Ta 0.694 0.667 0.155
Ta7 Ta 0.000 0.000 0.000
Ta8 Ta 0.000 0.000 0.500
Ta9 Ta 0.973 0.667 0.655
Ta10 Ta 0.973 0.667 0.845
Ta11 Ta 0.333 0.306 0.655
Ta12 Ta 0.333 0.306 0.845
Ta13 Ta 0.333 0.027 0.345
Ta14 Ta 0.333 0.027 0.155
O1 O 0.333 0.419 0.153
O2 O 0.333 0.419 0.347
O3 O 0.376 0.293 0.750
O4 O 0.581 0.667 0.847
O5 O 0.581 0.667 0.653
O6 O 0.376 0.083 0.250
O7 O 0.333 0.914 0.653
O8 O 0.333 0.914 0.847
O9 O 0.707 0.624 0.250
O10 O 0.667 0.333 0.631
O11 O 0.667 0.333 0.369
O12 O 0.667 0.333 0.131
O13 O 0.667 0.333 0.869
O14 O 0.917 0.624 0.750
O15 O 0.581 0.914 0.153
O16 O 0.581 0.914 0.347
O17 O 0.707 0.083 0.750
O18 O 0.761 0.050 0.556
O19 O 0.761 0.050 0.944
O20 O 0.086 0.667 0.347
O21 O 0.086 0.667 0.153
O22 O 0.917 0.293 0.250
O23 O 0.950 0.239 0.444
O24 O 0.950 0.239 0.056
O25 O 0.086 0.419 0.653
O26 O 0.086 0.419 0.847
O27 O 0.761 0.712 0.056
O28 O 0.761 0.712 0.444
O29 O 0.000 0.000 0.834
O30 O 0.000 0.000 0.334
O31 O 0.000 0.000 0.166
O32 O 0.000 0.000 0.666
O33 O 0.950 0.712 0.556
O34 O 0.950 0.712 0.944
O35 O 0.288 0.239 0.556
O36 O 0.288 0.239 0.944
O37 O 0.288 0.050 0.056
O38 O 0.288 0.050 0.444

# Ca3Sn2S7 | the Materials Project database | PBE | relaxed
# Formation energy from the elements ... -1.524 eV/atom
# Crystal system ... orthorhombic
# Raw total energy ... -4.8129 eV per atom
data_Ca3Sn2S7
_cell_length_a 6.517
_cell_length_b 14.425
_cell_length_c 16.009
_cell_angle_alpha 116.78
_cell_angle_beta 101.74
_cell_angle_gamma 90.00
_symmetry_space_group_name_H-M 'P 1'
_symmetry_Int_Tables_number 1
loop_
_symmetry_equiv_pos_as_xyz
'x,y,z'
loop_
_atom_site_label
_atom_site_type_symbol
_atom_site_fract_x
_atom_site_fract_y
_atom_site_fract_z
Ca1 Ca 0.500 0.507 0.000
Ca2 Ca 0.000 0.007 0.000
Ca3 Ca 0.258 0.974 0.500
Ca4 Ca 0.742 0.474 0.500
Ca5 Ca 0.333 0.322 0.658
Ca6 Ca 0.667 0.663 0.342
Ca7 Ca 0.174 0.163 0.342
Ca8 Ca 0.826 0.822 0.658
Ca9 Ca 0.894 0.167 0.786
Ca10 Ca 0.106 0.380 0.214
Ca11 Ca 0.608 0.880 0.214
Ca12 Ca 0.392 0.667 0.786
Sn1 Sn 0.677 0.156 0.500
Sn2 Sn 0.323 0.656 0.500
Sn3 Sn 0.332 0.979 0.788
Sn4 Sn 0.668 0.191 0.212
Sn5 Sn 0.044 0.691 0.212
Sn6 Sn 0.956 0.479 0.788
Sn7 Sn 0.500 0.266 0.000
Sn8 Sn 0.000 0.766 0.000
S1 S 0.574 0.146 0.633
S2 S 0.426 0.513 0.367
S3 S 0.440 0.013 0.367
S4 S 0.560 0.646 0.633
S5 S 0.508 0.306 0.500
S6 S 0.492 0.806 0.500
S7 S 0.043 0.152 0.500
S8 S 0.957 0.652 0.500
S9 S 0.088 0.988 0.657
S10 S 0.912 0.331 0.343
S11 S 0.931 0.831 0.343
S12 S 0.069 0.488 0.657
S13 S 0.140 0.344 0.809
S14 S 0.860 0.535 0.191
S15 S 0.830 0.035 0.191
S16 S 0.170 0.844 0.809
S17 S 0.210 0.125 0.921
S18 S 0.790 0.203 0.079
S19 S 0.788 0.703 0.079
S20 S 0.212 0.625 0.921
S21 S 0.704 0.002 0.810
S22 S 0.296 0.191 0.190
S23 S 0.393 0.691 0.190
S24 S 0.607 0.502 0.810
S25 S 0.658 0.314 0.903
S26 S 0.342 0.411 0.097
S27 S 0.255 0.911 0.097
S28 S 0.745 0.814 0.903

# Na2Nb2Al6Si3S9O48 | the Materials Project database | PBE | relaxed
# Formation energy from the elements ... -2.483 eV/atom
# Crystal system ... triclinic
# Raw total energy ... -6.8166 eV per atom
data_Na2Nb2Al6Si3S9O48
_cell_length_a 17.041
_cell_length_b 8.500
_cell_length_c 21.998
_cell_angle_alpha 89.99
_cell_angle_beta 90.23
_cell_angle_gamma 120.08
_symmetry_space_group_name_H-M 'P 1'
_symmetry_Int_Tables_number 1
loop_
_symmetry_equiv_pos_as_xyz
'x,y,z'
loop_
_atom_site_label
_atom_site_type_symbol
_atom_site_fract_x
_atom_site_fract_y
_atom_site_fract_z
Na1 Na 0.997 0.987 0.498
Na2 Na 0.500 0.011 0.996
Na3 Na 0.341 0.339 0.835
Na4 Na 0.836 0.347 0.830
Na5 Na 0.338 0.327 0.334
Na6 Na 0.839 0.338 0.340
Nb1 Nb 0.496 0.010 0.358
Nb2 Nb 0.994 0.979 0.855
Nb3 Nb 0.504 0.994 0.636
Nb4 Nb 0.998 0.004 0.140
Nb5 Nb 0.667 0.657 0.023
Nb6 Nb 0.167 0.677 0.525
Al1 Al 0.000 0.992 0.356
Al2 Al 0.501 0.010 0.853
Al3 Al 0.997 0.992 0.649
Al4 Al 0.500 0.004 0.151
Al5 Al 0.334 0.337 0.687
Al6 Al 0.833 0.336 0.686
Al7 Al 0.335 0.329 0.189
Al8 Al 0.831 0.327 0.188
Al9 Al 0.339 0.337 0.979
Al10 Al 0.834 0.330 0.977
Al11 Al 0.335 0.337 0.479
Al12 Al 0.837 0.343 0.482
Al13 Al 0.170 0.670 0.020
Al14 Al 0.671 0.678 0.525
Al15 Al 0.161 0.675 0.318
Al16 Al 0.663 0.664 0.311
Al17 Al 0.165 0.665 0.808
Al18 Al 0.662 0.648 0.815
Si1 Si 0.503 0.304 0.244
Si2 Si 0.001 0.698 0.742
Si3 Si 0.707 0.057 0.580
Si4 Si 0.328 0.593 0.583
Si5 Si 0.828 0.063 0.083
Si6 Si 0.806 0.647 0.914
Si7 Si 0.516 0.368 0.912
Si8 Si 0.304 0.963 0.415
Si9 Si 0.015 0.659 0.413
S1 S 0.145 0.000 0.251
S2 S 0.648 0.003 0.249
S3 S 0.350 0.704 0.247
S4 S 0.855 0.707 0.252
S5 S 0.001 0.294 0.254
S6 S 0.149 0.293 0.749
S7 S 0.644 0.291 0.752
S8 S 0.502 0.710 0.754
S9 S 0.355 0.002 0.752
S10 S 0.850 0.995 0.748
S11 S 0.477 0.344 0.583
S12 S 0.973 0.318 0.586
S13 S 0.189 0.059 0.586
S14 S 0.835 0.626 0.582
S15 S 0.470 0.623 0.086
S16 S 0.979 0.610 0.083
S17 S 0.332 0.043 0.083
S18 S 0.199 0.347 0.081
S19 S 0.688 0.318 0.086
S20 S 0.307 0.663 0.916
S21 S 0.029 0.393 0.918
S22 S 0.172 0.953 0.919
S23 S 0.665 0.955 0.913
S24 S 0.808 0.949 0.413
S25 S 0.165 0.376 0.413
S26 S 0.673 0.398 0.419
S27 S 0.527 0.661 0.417
O1 O 0.103 0.034 0.304
O2 O 0.606 0.033 0.303
O3 O 0.411 0.781 0.303
O4 O 0.917 0.793 0.303
O5 O 0.483 0.165 0.306
O6 O 0.984 0.169 0.305
O7 O 0.106 0.178 0.804
O8 O 0.602 0.174 0.806
O9 O 0.483 0.798 0.806
O10 O 0.980 0.794 0.806
O11 O 0.415 0.040 0.805
O12 O 0.911 0.031 0.804
O13 O 0.393 0.971 0.696
O14 O 0.895 0.971 0.695
O15 O 0.090 0.214 0.695
O16 O 0.587 0.205 0.697
O17 O 0.017 0.839 0.689
O18 O 0.512 0.818 0.698
O19 O 0.396 0.820 0.194
O20 O 0.896 0.818 0.195
O21 O 0.012 0.203 0.197
O22 O 0.517 0.197 0.189
O23 O 0.088 0.971 0.195
O24 O 0.591 0.967 0.194
O25 O 0.437 0.370 0.639
O26 O 0.935 0.356 0.640
O27 O 0.245 0.136 0.641
O28 O 0.758 0.146 0.643
O29 O 0.319 0.491 0.645
O30 O 0.820 0.517 0.638
O31 O 0.428 0.508 0.139
O32 O 0.939 0.508 0.139
O33 O 0.314 0.123 0.137
O34 O 0.822 0.149 0.145
O35 O 0.252 0.372 0.137
O36 O 0.745 0.354 0.141
O37 O 0.237 0.308 0.028
O38 O 0.730 0.301 0.030
O39 O 0.415 0.545 0.030
O40 O 0.921 0.540 0.029
O41 O 0.349 0.161 0.029
O42 O 0.849 0.178 0.022
O43 O 0.230 0.158 0.530
O44 O 0.743 0.184 0.522
O45 O 0.348 0.520 0.522
O46 O 0.858 0.553 0.529
O47 O 0.419 0.302 0.529
O48 O 0.920 0.287 0.530
O49 O 0.269 0.700 0.972
O50 O 0.766 0.690 0.977
O51 O 0.082 0.476 0.974
O52 O 0.579 0.463 0.975
O53 O 0.155 0.840 0.974
O54 O 0.649 0.846 0.969
O55 O 0.265 0.840 0.477
O56 O 0.771 0.834 0.468
O57 O 0.148 0.451 0.469
O58 O 0.656 0.475 0.473
O59 O 0.079 0.692 0.475
O60 O 0.581 0.685 0.472
O61 O 0.059 0.619 0.355
O62 O 0.568 0.637 0.362
O63 O 0.249 0.869 0.355
O64 O 0.752 0.862 0.359
O65 O 0.182 0.493 0.359
O66 O 0.684 0.504 0.363
O67 O 0.072 0.506 0.864
O68 O 0.562 0.500 0.856
O69 O 0.188 0.874 0.865
O70 O 0.683 0.873 0.860
O71 O 0.250 0.634 0.862
O72 O 0.749 0.630 0.856
O73 O 0.009 0.843 0.408
O74 O 0.520 0.828 0.410
O75 O 0.405 0.973 0.411
O76 O 0.901 0.973 0.405
O77 O 0.082 0.196 0.404
O78 O 0.590 0.210 0.412
O79 O 0.021 0.213 0.911
O80 O 0.509 0.171 0.908
O81 O 0.090 0.972 0.912
O82 O 0.583 0.969 0.905
O83 O 0.399 0.820 0.909
O84 O 0.906 0.838 0.911
O85 O 0.485 0.177 0.591
O86 O 0.983 0.155 0.595
O87 O 0.098 0.045 0.591
O88 O 0.602 0.035 0.592
O89 O 0.416 0.804 0.591
O90 O 0.914 0.815 0.590
O91 O 0.480 0.807 0.094
O92 O 0.992 0.800 0.091
O93 O 0.412 0.020 0.089
O94 O 0.918 0.029 0.092
O95 O 0.106 0.180 0.089
O96 O 0.598 0.151 0.091
O97 O 0.344 0.166 0.744
O98 O 0.844 0.160 0.745
O99 O 0.238 0.303 0.744
O100 O 0.734 0.309 0.745
O101 O 0.421 0.525 0.748
O102 O 0.908 0.505 0.738
O103 O 0.339 0.521 0.239
O104 O 0.847 0.525 0.242
O105 O 0.410 0.311 0.240
O106 O 0.921 0.317 0.247
O107 O 0.234 0.166 0.241
O108 O 0.738 0.174 0.244
O109 O 0.311 0.493 0.925
O110 O 0.821 0.479 0.926
O111 O 0.419 0.355 0.925
O112 O 0.937 0.373 0.922
O113 O 0.250 0.137 0.928
O114 O 0.746 0.138 0.921
O115 O 0.321 0.163 0.426
O116 O 0.815 0.127 0.420
O117 O 0.245 0.353 0.419
O118 O 0.752 0.377 0.423
O119 O 0.435 0.502 0.421
O120 O 0.918 0.480 0.426
O121 O 0.186 0.504 0.072
O122 O 0.676 0.481 0.083
O123 O 0.070 0.633 0.074
O124 O 0.560 0.642 0.079
O125 O 0.250 0.862 0.073
O126 O 0.742 0.858 0.076
O127 O 0.176 0.871 0.583
O128 O 0.685 0.853 0.571
O129 O 0.240 0.620 0.575
O130 O 0.752 0.635 0.572
O131 O 0.064 0.479 0.579
O132 O 0.568 0.500 0.574
O133 O 0.153 0.838 0.257
O134 O 0.662 0.848 0.258
O135 O 0.262 0.691 0.256
O136 O 0.768 0.692 0.260
O137 O 0.085 0.467 0.258
O138 O 0.590 0.491 0.261
O139 O 0.162 0.476 0.759
O140 O 0.651 0.470 0.757
O141 O 0.088 0.687 0.762
O142 O 0.585 0.703 0.760
O143 O 0.266 0.842 0.763
O144 O 0.762 0.833 0.758

# BeSiN2 | the Materials Project database | PBE | relaxed
# Formation energy from the elements ... -1.235 eV/atom
# Crystal system ... trigonal
# Raw total energy ... -7.5140 eV per atom
data_BeSiN2
_cell_length_a 2.894
_cell_length_b 2.894
_cell_length_c 4.713
_cell_angle_alpha 90.00
_cell_angle_beta 90.00
_cell_angle_gamma 120.00
_symmetry_space_group_name_H-M 'P 1'
_symmetry_Int_Tables_number 1
loop_
_symmetry_equiv_pos_as_xyz
'x,y,z'
loop_
_atom_site_label
_atom_site_type_symbol
_atom_site_fract_x
_atom_site_fract_y
_atom_site_fract_z
Be1 Be 0.333 0.667 0.519
Si1 Si 0.667 0.333 0.982
N1 N 0.333 0.667 0.125
N2 N 0.667 0.333 0.624